Record 1
This record from Materials Project describes a relaxed MgV8O20 crystal. The functional is GGA+U.

Offset from the most stable computed form in eV/atom: 0.0000
Final energy in eV per cell: -214.53
V in Å³/atom: 13.8
Energy of formation from the pure elements in eV/atom: -2.367
Spin magnetization in μB/f.u.: 2.000

The structure in extended XYZ format:
```
29
Lattice="10.063 0.000 0.000 0.000 3.637 0.000 -0.044 0.000 10.931" Properties=species:S:1:pos:R:3 pbc="T T T"
Mg 0.000 0.000 0.000
V 0.190 1.818 8.382
V 0.753 0.000 4.191
V 2.069 1.818 2.092
V 2.696 0.000 8.401
V 5.258 1.818 2.841
V 5.820 0.000 7.445
V 7.221 1.818 9.547
V 7.823 0.000 2.933
O 0.739 0.000 9.016
O 0.814 1.818 3.635
O 1.079 1.818 0.678
O 1.380 0.000 5.674
O 2.111 0.000 2.756
O 2.187 1.818 8.063
O 3.477 0.000 9.805
O 3.914 1.818 1.710
O 4.042 0.000 7.168
O 4.554 1.818 4.290
O 5.881 0.000 2.604
O 5.899 1.818 8.063
O 6.496 1.818 0.031
O 6.512 0.000 5.998
O 7.193 0.000 8.946
O 7.333 1.818 3.112
O 8.768 0.000 1.563
O 8.978 0.000 4.288
O 9.002 1.818 9.967
O 9.262 1.818 7.098
```

---

Record 2
This record from Materials Project describes a relaxed MgV6O15 crystal. The functional is GGA+U.

Offset from the most stable computed form in eV/atom: 0.0099
Final energy in eV per cell: -162.02
V in Å³/atom: 12.7
Energy of formation from the pure elements in eV/atom: -2.373
Spin magnetization in μB/f.u.: 2.004

The structure in extended XYZ format:
```
22
Lattice="3.671 0.000 0.000 1.484 8.203 0.000 1.243 3.850 9.307" Properties=species:S:1:pos:R:3 pbc="T T T"
Mg 0.000 0.000 0.000
V 1.836 5.588 1.542
V 1.916 2.196 1.573
V 3.375 8.140 7.996
V 3.716 4.091 3.700
V 5.296 10.134 6.476
V 5.249 8.731 3.430
O 1.613 7.504 2.159
O 3.326 10.150 9.298
O 1.887 3.933 3.144
O 1.993 3.831 0.460
O 3.410 9.589 6.513
O 3.412 9.247 3.188
O 1.854 0.950 0.339
O 3.392 6.684 7.323
O 3.691 5.154 4.892
O 3.724 5.304 2.130
O 3.904 3.298 7.398
O 3.743 2.478 4.741
O 5.212 8.673 7.793
O 3.747 2.276 2.065
O 5.266 7.979 4.875
```

---

- Which of these has the lowest final energy?
  MgV8O20

---

- The lowest energy of formation from the pure elements belongs to which entry?
  MgV6O15